Record 1
Ho2P4O13: relaxed, PBE.

Unit cell a=8.7391 b=9.7359 c=14.0822 alpha=90.00 beta=105.34 gamma=90.00
Closest atoms and distances in Å follow each position.
Fractional coordinates of all 76 atoms:
Ho1 0.2133 0.0042 0.0121  6 O 2.17-2.38
Ho2 0.2133 0.4958 0.5121  6 O 2.17-2.38
Ho3 0.2844 0.0008 0.4905  6 O 2.17-2.39
Ho4 0.2844 0.4992 0.9905  6 O 2.17-2.39
Ho5 0.7156 0.5008 0.0095  6 O 2.17-2.39
Ho6 0.7156 0.9992 0.5095  6 O 2.17-2.39
Ho7 0.7867 0.5042 0.4879  6 O 2.17-2.38
Ho8 0.7867 0.9958 0.9879  6 O 2.17-2.38
P1 0.0301 0.2196 0.5952  4 O 1.51-1.62
P2 0.0301 0.2804 0.0952  4 O 1.51-1.62
P3 0.1133 0.2450 0.3137  4 O 1.50-1.63
P4 0.1133 0.2550 0.8137  4 O 1.50-1.63
P5 0.2357 0.7320 0.1848  4 O 1.50-1.62
P6 0.2357 0.7680 0.6848  4 O 1.50-1.62
P7 0.4593 0.7192 0.4017  4 O 1.52-1.60
P8 0.4593 0.7808 0.9017  4 O 1.52-1.60
P9 0.5407 0.2192 0.0983  4 O 1.52-1.60
P10 0.5407 0.2808 0.5983  4 O 1.52-1.60
P11 0.7643 0.2320 0.3152  4 O 1.50-1.62
P12 0.7643 0.2680 0.8152  4 O 1.50-1.62
P13 0.8867 0.7450 0.1863  4 O 1.50-1.63
P14 0.8867 0.7550 0.6863  4 O 1.50-1.63
P15 0.9699 0.7196 0.9048  4 O 1.51-1.62
P16 0.9699 0.7804 0.4048  4 O 1.51-1.62
O1 0.0116 0.1288 0.0597  1 P 1.55
O2 0.0116 0.3712 0.5597  1 P 1.55
O3 0.0688 0.6912 0.2074  2 P 1.62-1.63
O4 0.0688 0.8088 0.7074  2 P 1.62-1.63
O5 0.1235 0.1378 0.5380  1 P 1.51
O6 0.1235 0.3622 0.0380  1 P 1.51
O7 0.1257 0.6527 0.9027  1 P 1.52
O8 0.1257 0.8473 0.4027  1 P 1.52
O9 0.1378 0.1246 0.8729  1 P 1.50
O10 0.1378 0.2227 0.7079  2 P 1.59-1.62
O11 0.1378 0.2773 0.2079  2 P 1.59-1.62
O12 0.1378 0.3754 0.3729  1 P 1.50
O13 0.2232 0.1276 0.3547  1 P 1.51
O14 0.2232 0.3724 0.8547  1 P 1.51
O15 0.2272 0.6252 0.6436  1 P 1.50
O16 0.2272 0.8748 0.1436  1 P 1.50
O17 0.2794 0.6191 0.1236  1 P 1.51
O18 0.2794 0.8809 0.6236  1 P 1.51
O19 0.3617 0.7303 0.2881  2 P 1.58-1.60
O20 0.3617 0.7697 0.7881  2 P 1.58-1.60
O21 0.3643 0.6322 0.4552  1 P 1.52
O22 0.3643 0.8678 0.9552  1 P 1.52
O23 0.3830 0.1536 0.0977  1 P 1.52
O24 0.3830 0.3464 0.5977  1 P 1.52
O25 0.4812 0.6297 0.9411  1 P 1.57
O26 0.4812 0.8703 0.4411  1 P 1.57
O27 0.5188 0.1297 0.5589  1 P 1.57
O28 0.5188 0.3703 0.0589  1 P 1.57
O29 0.6170 0.6536 0.4023  1 P 1.52
O30 0.6170 0.8464 0.9023  1 P 1.52
O31 0.6357 0.1322 0.0448  1 P 1.52
O32 0.6357 0.3678 0.5448  1 P 1.52
O33 0.6383 0.2303 0.2119  2 P 1.58-1.60
O34 0.6383 0.2697 0.7119  2 P 1.58-1.60
O35 0.7206 0.1191 0.3764  1 P 1.51
O36 0.7206 0.3809 0.8764  1 P 1.51
O37 0.7728 0.1252 0.8564  1 P 1.50
O38 0.7728 0.3748 0.3564  1 P 1.50
O39 0.7768 0.6276 0.1453  1 P 1.51
O40 0.7768 0.8724 0.6453  1 P 1.51
O41 0.8622 0.6246 0.6271  1 P 1.50
O42 0.8622 0.7227 0.7921  2 P 1.59-1.62
O43 0.8622 0.7773 0.2921  2 P 1.59-1.62
O44 0.8622 0.8754 0.1271  1 P 1.50
O45 0.8743 0.1527 0.5973  1 P 1.52
O46 0.8743 0.3473 0.0973  1 P 1.52
O47 0.8765 0.6378 0.9620  1 P 1.51
O48 0.8765 0.8622 0.4620  1 P 1.51
O49 0.9312 0.1912 0.2926  2 P 1.62-1.63
O50 0.9312 0.3088 0.7926  2 P 1.62-1.63
O51 0.9884 0.6288 0.4403  1 P 1.55
O52 0.9884 0.8712 0.9403  1 P 1.55

Results
The calculation puts the spin magnetization at 0.0 Bohr magnetons per cell. Its energy relative to the elements is -3.1498 eV per atom. The calculation puts the uncorrected energy at -584.23 eV/cell. The energy above the lowest structure with this stoichiometry is 38 kJ/mol of formula units.

Record 2
Ho2P4O13: relaxed, PBE.

Unit cell a=8.8601 b=9.6070 c=13.9609 alpha=90.00 beta=106.43 gamma=90.00
Closest atoms and distances in Å follow each position.
Fractional coordinates of all 76 atoms:
Ho1 0.0264 0.0038 0.2216  6 O 2.19-2.36
Ho2 0.0264 0.4962 0.7216  6 O 2.19-2.36
Ho3 0.4473 0.5011 0.7375  6 O 2.15-2.36
Ho4 0.4473 0.9989 0.2375  6 O 2.15-2.36
Ho5 0.5527 0.0011 0.7625  6 O 2.15-2.36
Ho6 0.5527 0.4989 0.2625  6 O 2.15-2.36
Ho7 0.9736 0.5038 0.2784  6 O 2.19-2.36
Ho8 0.9736 0.9962 0.7784  6 O 2.19-2.36
P1 0.1475 0.2398 0.4371  4 O 1.50-1.63
P2 0.1475 0.2602 0.9371  4 O 1.50-1.63
P3 0.2167 0.2060 0.6567  4 O 1.51-1.62
P4 0.2167 0.2940 0.1567  4 O 1.51-1.62
P5 0.2886 0.7312 0.3463  4 O 1.51-1.63
P6 0.2886 0.7688 0.8463  4 O 1.51-1.63
P7 0.4949 0.2494 0.4400  4 O 1.50-1.63
P8 0.4949 0.2506 0.9400  4 O 1.50-1.63
P9 0.5051 0.7494 0.0600  4 O 1.50-1.63
P10 0.5051 0.7506 0.5600  4 O 1.50-1.63
P11 0.7114 0.2312 0.1537  4 O 1.51-1.63
P12 0.7114 0.2688 0.6537  4 O 1.51-1.63
P13 0.7833 0.7060 0.8433  4 O 1.51-1.62
P14 0.7833 0.7940 0.3433  4 O 1.51-1.62
P15 0.8525 0.7398 0.0629  4 O 1.50-1.63
P16 0.8525 0.7602 0.5629  4 O 1.50-1.63
O1 0.0441 0.1331 0.9118  1 P 1.51
O2 0.0441 0.3669 0.4118  1 P 1.51
O3 0.1123 0.1223 0.3633  1 P 1.50
O4 0.1123 0.3777 0.8633  1 P 1.50
O5 0.1189 0.1300 0.7133  1 P 1.52
O6 0.1189 0.3700 0.2133  1 P 1.52
O7 0.1303 0.1781 0.5397  2 P 1.60-1.62
O8 0.1303 0.3219 0.0397  2 P 1.60-1.62
O9 0.1400 0.6649 0.3589  1 P 1.52
O10 0.1400 0.8351 0.8589  1 P 1.52
O11 0.2188 0.1330 0.1730  1 P 1.56
O12 0.2188 0.3670 0.6730  1 P 1.56
O13 0.2527 0.6350 0.7807  1 P 1.56
O14 0.2527 0.8650 0.2807  1 P 1.56
O15 0.3290 0.2076 0.9611  2 P 1.63
O16 0.3290 0.2924 0.4611  2 P 1.63
O17 0.3826 0.1502 0.6765  1 P 1.51
O18 0.3826 0.3498 0.1765  1 P 1.51
O19 0.3889 0.6296 0.3082  1 P 1.51
O20 0.3889 0.8704 0.8082  1 P 1.51
O21 0.3931 0.7076 0.9531  2 P 1.59-1.63
O22 0.3931 0.7924 0.4531  2 P 1.59-1.63
O23 0.4400 0.6248 0.5991  1 P 1.51
O24 0.4400 0.8752 0.0991  1 P 1.51
O25 0.4703 0.1203 0.3769  1 P 1.50
O26 0.4703 0.3797 0.8769  1 P 1.50
O27 0.5297 0.6203 0.1231  1 P 1.50
O28 0.5297 0.8797 0.6231  1 P 1.50
O29 0.5600 0.1248 0.9009  1 P 1.51
O30 0.5600 0.3752 0.4009  1 P 1.51
O31 0.6069 0.2076 0.5469  2 P 1.59-1.63
O32 0.6069 0.2924 0.0469  2 P 1.59-1.63
O33 0.6111 0.1296 0.1918  1 P 1.51
O34 0.6111 0.3704 0.6918  1 P 1.51
O35 0.6174 0.6502 0.8235  1 P 1.51
O36 0.6174 0.8498 0.3235  1 P 1.51
O37 0.6710 0.7076 0.5389  2 P 1.63
O38 0.6710 0.7924 0.0389  2 P 1.63
O39 0.7473 0.1350 0.7193  1 P 1.56
O40 0.7473 0.3650 0.2193  1 P 1.56
O41 0.7812 0.6330 0.3270  1 P 1.56
O42 0.7812 0.8670 0.8270  1 P 1.56
O43 0.8600 0.1649 0.1411  1 P 1.52
O44 0.8600 0.3351 0.6411  1 P 1.52
O45 0.8697 0.6781 0.9603  2 P 1.60-1.62
O46 0.8697 0.8219 0.4603  2 P 1.60-1.62
O47 0.8811 0.6300 0.7867  1 P 1.52
O48 0.8811 0.8700 0.2867  1 P 1.52
O49 0.8877 0.6223 0.1367  1 P 1.50
O50 0.8877 0.8777 0.6367  1 P 1.50
O51 0.9559 0.6331 0.5882  1 P 1.51
O52 0.9559 0.8669 0.0882  1 P 1.51

Results
The calculation puts the spin magnetization at 0.0 Bohr magnetons per cell. Its energy relative to the elements is -3.1562 eV per atom. The calculation puts the uncorrected energy at -584.71 eV/cell. The energy above the lowest structure with this stoichiometry is 26 kJ/mol of formula units.

Record 3
HoP5O14: relaxed, PBE.

Unit cell a=9.1921 b=9.1921 c=12.5784 alpha=91.11 beta=91.11 gamma=89.59
Closest atoms and distances in Å follow each position.
Fractional coordinates of all 80 atoms:
Ho1 0.0205 0.9795 0.7500  8 O 2.33-2.36
Ho2 0.4662 0.5338 0.7500  8 O 2.29-2.41
Ho3 0.5338 0.4662 0.2500  8 O 2.29-2.41
Ho4 0.9795 0.0205 0.2500  8 O 2.33-2.36
P1 0.0221 0.6824 0.3929  4 O 1.47-1.58
P2 0.0705 0.5758 0.7419  4 O 1.48-1.64
P3 0.1158 0.1758 0.0013  3 O 1.48-1.63
P4 0.1758 0.1158 0.5013  3 O 1.48-1.63
P5 0.1834 0.4509 0.1099  4 O 1.48-1.59
P6 0.3176 0.9779 0.1071  4 O 1.47-1.58
P7 0.3277 0.6263 0.4659  4 O 1.48-1.66
P8 0.3737 0.6723 0.0341  4 O 1.48-1.66
P9 0.4242 0.9295 0.7581  4 O 1.48-1.64
P10 0.4509 0.1834 0.6099  4 O 1.48-1.59
P11 0.5491 0.8166 0.3901  4 O 1.48-1.59
P12 0.5758 0.0705 0.2419  4 O 1.48-1.64
P13 0.6263 0.3277 0.9659  4 O 1.48-1.66
P14 0.6723 0.3737 0.5341  4 O 1.48-1.66
P15 0.6824 0.0221 0.8929  4 O 1.47-1.58
P16 0.8166 0.5491 0.8901  4 O 1.48-1.59
P17 0.8242 0.8842 0.4987  3 O 1.48-1.63
P18 0.8842 0.8242 0.9987  3 O 1.48-1.63
P19 0.9295 0.4242 0.2581  4 O 1.48-1.64
P20 0.9779 0.3176 0.6071  4 O 1.47-1.58
O1 0.0031 0.4821 0.6401  2 P 1.58-1.64
O2 0.0154 0.1410 0.0889  1 P 1.49
O3 0.0309 0.4800 0.1617  2 P 1.58-1.64
O4 0.0378 0.7820 0.3036  1 P 1.47
O5 0.0405 0.7303 0.7169  1 P 1.48
O6 0.0789 0.1459 0.8881  1 P 1.48
O7 0.1066 0.2788 0.5294  2 P 1.58-1.66
O8 0.1410 0.0154 0.5889  1 P 1.49
O9 0.1459 0.0789 0.3881  1 P 1.48
O10 0.1538 0.3488 0.0087  2 P 1.59-1.63
O11 0.1572 0.6751 0.4725  2 P 1.58-1.63
O12 0.2117 0.6020 0.0561  2 P 1.58-1.66
O13 0.2180 0.9622 0.1964  1 P 1.47
O14 0.2195 0.5230 0.7689  1 P 1.49
O15 0.2697 0.9595 0.7831  1 P 1.48
O16 0.2788 0.1066 0.0294  2 P 1.58-1.66
O17 0.2997 0.3960 0.1812  1 P 1.48
O18 0.3249 0.8428 0.0275  2 P 1.58-1.63
O19 0.3488 0.1538 0.5087  2 P 1.59-1.63
O20 0.3500 0.5342 0.3684  1 P 1.49
O21 0.3709 0.5791 0.5739  1 P 1.48
O22 0.3960 0.2997 0.6812  1 P 1.48
O23 0.3980 0.7883 0.4439  2 P 1.58-1.66
O24 0.4209 0.6291 0.9261  1 P 1.48
O25 0.4658 0.6500 0.1316  1 P 1.49
O26 0.4770 0.7805 0.7311  1 P 1.49
O27 0.4800 0.0309 0.6617  2 P 1.58-1.64
O28 0.4821 0.0031 0.1401  2 P 1.58-1.64
O29 0.5179 0.9969 0.8599  2 P 1.58-1.64
O30 0.5200 0.9691 0.3383  2 P 1.58-1.64
O31 0.5230 0.2195 0.2689  1 P 1.49
O32 0.5342 0.3500 0.8684  1 P 1.49
O33 0.5791 0.3709 0.0739  1 P 1.48
O34 0.6020 0.2117 0.5561  2 P 1.58-1.66
O35 0.6040 0.7003 0.3188  1 P 1.48
O36 0.6291 0.4209 0.4261  1 P 1.48
O37 0.6500 0.4658 0.6316  1 P 1.49
O38 0.6512 0.8462 0.4913  2 P 1.59-1.63
O39 0.6751 0.1572 0.9725  2 P 1.58-1.63
O40 0.7003 0.6040 0.8188  1 P 1.48
O41 0.7212 0.8934 0.9706  2 P 1.58-1.66
O42 0.7303 0.0405 0.2169  1 P 1.48
O43 0.7805 0.4770 0.2311  1 P 1.49
O44 0.7820 0.0378 0.8036  1 P 1.47
O45 0.7883 0.3980 0.9439  2 P 1.58-1.66
O46 0.8428 0.3249 0.5275  2 P 1.58-1.63
O47 0.8462 0.6512 0.9913  2 P 1.59-1.63
O48 0.8541 0.9211 0.6119  1 P 1.48
O49 0.8590 0.9846 0.4111  1 P 1.49
O50 0.8934 0.7212 0.4706  2 P 1.58-1.66
O51 0.9211 0.8541 0.1119  1 P 1.48
O52 0.9595 0.2697 0.2831  1 P 1.48
O53 0.9622 0.2180 0.6964  1 P 1.47
O54 0.9691 0.5200 0.8383  2 P 1.58-1.64
O55 0.9846 0.8590 0.9111  1 P 1.49
O56 0.9969 0.5179 0.3599  2 P 1.58-1.64

Results
Its energy relative to the elements is -2.8326 eV per atom. The calculation puts the uncorrected energy at -591.82 eV/cell. The energy above the lowest structure with this stoichiometry is 0 kJ/mol of formula units.

Record 4
Ho2Pa2O5: relaxed, PBE.

Unit cell a=4.3499 b=4.3499 c=7.5075 alpha=90.00 beta=90.00 gamma=90.00
Closest atoms and distances in Å follow each position.
Fractional coordinates of all 9 atoms:
Ho1 0.0000 0.0000 0.2230  5 O 2.08-2.18
Ho2 0.0000 0.0000 0.7770  5 O 2.08-2.18
Pa1 0.5000 0.5000 0.0000  8 O 2.85
Pa2 0.5000 0.5000 0.5000  12 O 2.90-3.08
O1 0.0000 0.0000 0.5000  2 Ho 2.08
O2 0.0000 0.5000 0.2447  2 Ho 2.18
O3 0.0000 0.5000 0.7553  2 Ho 2.18
O4 0.5000 0.0000 0.2447  2 Ho 2.18
O5 0.5000 0.0000 0.7553  2 Ho 2.18

Results
The calculation puts the spin magnetization at 2.8 Bohr magnetons per cell. Its energy relative to the elements is -2.6575 eV per atom. The calculation puts the uncorrected energy at -73.42 eV/cell.

Record 5
Ho2Pb2O7: relaxed, PBE.

Unit cell a=7.6028 b=7.6028 c=7.6028 alpha=60.00 beta=60.00 gamma=60.00
Closest atoms and distances in Å follow each position.
Fractional coordinates of all 22 atoms:
Ho1 0.0000 0.0000 0.0000  8 O 2.33-2.49
Ho2 0.0000 0.0000 0.5000  8 O 2.33-2.49
Ho3 0.0000 0.5000 0.0000  8 O 2.33-2.49
Ho4 0.5000 0.0000 0.0000  8 O 2.33-2.49
Pb1 0.0000 0.5000 0.5000  6 O 2.19
Pb2 0.5000 0.0000 0.5000  6 O 2.19
Pb3 0.5000 0.5000 0.0000  6 O 2.19
Pb4 0.5000 0.5000 0.5000  6 O 2.19
O1 0.1250 0.1250 0.1250  4 Ho 2.33
O2 0.1494 0.1494 0.6006  2 Pb 2.19
O3 0.1494 0.6006 0.1494  2 Pb 2.19
O4 0.1494 0.6006 0.6006  2 Pb 2.19
O5 0.3994 0.3994 0.8506  2 Pb 2.19
O6 0.3994 0.8506 0.3994  2 Pb 2.19
O7 0.3994 0.8506 0.8506  2 Pb 2.19
O8 0.6006 0.1494 0.1494  2 Pb 2.19
O9 0.6006 0.1494 0.6006  2 Pb 2.19
O10 0.6006 0.6006 0.1494  2 Pb 2.19
O11 0.8506 0.3994 0.3994  2 Pb 2.19
O12 0.8506 0.3994 0.8506  2 Pb 2.19
O13 0.8506 0.8506 0.3994  2 Pb 2.19
O14 0.8750 0.8750 0.8750  4 Ho 2.33

Results
Its energy relative to the elements is -2.5491 eV per atom. The calculation puts the uncorrected energy at -148.91 eV/cell.